[1]
DFT (PBE+U) results for a geometry-optimized Zr3FeF6 structure.

a b c (Å): 6.3925 6.6967 12.6991
angles (deg): 88.13 86.59 61.59
Closest atoms and distances in Å follow each position.
Element x y z (fractional)
Zr 0.0000 0.0000 0.0000  2 F 2.03
Zr 0.0000 0.5000 0.5000  2 F 1.96
Zr 0.5000 0.0000 0.0000  2 F 2.03
Fe 0.0000 0.5000 0.0000  4 F 2.15-2.19
F 0.0747 0.4966 0.3477  1 Zr 1.96
F 0.0895 0.7187 0.0906  1 Zr 2.03, 1 Fe 2.19
F 0.3091 0.2859 0.0870  1 Zr 2.03, 1 Fe 2.15
F 0.6909 0.7141 0.9130  1 Zr 2.03, 1 Fe 2.15
F 0.9105 0.2813 0.9094  1 Zr 2.03, 1 Fe 2.19
F 0.9253 0.5034 0.6523  1 Zr 1.96

Magnetic moment ... 0.80 μB per atom
ΔE to the lowest computed polymorph ... 228 meV/atom
Total DFT energy (no corrections) ... -5.781 eV per atom
E_form ... -1.72 eV per atom

[2]
DFT (PBE+U) results for a geometry-optimized SrMnOF5 structure.

a b c (Å): 5.3692 7.7989 6.0804
angles (deg): 90.00 110.40 90.00
Closest atoms and distances in Å follow each position.
Element x y z (fractional)
Sr 0.0855 0.2500 0.3842  7 F 2.46-2.69
Sr 0.9145 0.7500 0.6158  7 F 2.46-2.69
Mn 0.5000 0.0000 0.0000  6 F 1.86-2.07
Mn 0.5000 0.5000 0.0000  6 F 1.86-2.07
O 0.3440 0.7500 0.4424  8 F 2.84-3.14, 2 Sr 2.85-2.87
O 0.6560 0.2500 0.5576  8 F 2.84-3.14, 2 Sr 2.85-2.87
F 0.2108 0.0377 0.7142  1 Mn 1.91
F 0.2108 0.4623 0.7142  1 Mn 1.91
F 0.2864 0.0548 0.1740  1 Mn 1.86
F 0.2864 0.4452 0.1740  1 Mn 1.86
F 0.3594 0.7500 0.9633  2 Mn 2.07
F 0.6406 0.2500 0.0367  2 Mn 2.07
F 0.7136 0.5548 0.8260  1 Mn 1.86
F 0.7136 0.9452 0.8260  1 Mn 1.86
F 0.7892 0.5377 0.2858  1 Mn 1.91
F 0.7892 0.9623 0.2858  1 Mn 1.91

Magnetic moment ... 0.36 μB per atom
Total DFT energy (no corrections) ... -5.112 eV per atom
E_form ... -2.52 eV per atom

[3]
DFT (PBE+U) results for a geometry-optimized NdEuZrVO6 structure.

a b c (Å): 5.7658 5.7658 5.7658
angles (deg): 60.00 60.00 60.00
Closest atoms and distances in Å follow each position.
Element x y z (fractional)
Nd 0.0000 0.0000 0.0000  12 O 2.88
Eu 0.5000 0.5000 0.5000  12 O 2.88
Zr 0.2500 0.2500 0.2500  6 O 2.07
V 0.7500 0.7500 0.7500  6 O 2.00
O 0.5041 0.5041 0.9959  1 V 2.00, 1 Zr 2.07
O 0.5041 0.9959 0.5041  1 V 2.00, 1 Zr 2.07
O 0.5041 0.9959 0.9959  1 V 2.00, 1 Zr 2.07
O 0.9959 0.5041 0.5041  1 V 2.00, 1 Zr 2.07
O 0.9959 0.5041 0.9959  1 V 2.00, 1 Zr 2.07
O 0.9959 0.9959 0.5041  1 V 2.00, 1 Zr 2.07

Magnetic moment ... 0.90 μB per atom
Total DFT energy (no corrections) ... -8.876 eV per atom
E_form ... -3.22 eV per atom

[4]
DFT (PBE+U) results for a geometry-optimized CaMnO2 structure.

a b c (Å): 6.6022 6.6022 6.6022
angles (deg): 60.00 60.00 60.00
Closest atoms and distances in Å follow each position.
Element x y z (fractional)
Ca 0.0000 0.0000 0.0000  6 O 2.37
Ca 0.0000 0.0000 0.5000  6 O 2.37
Ca 0.0000 0.5000 0.0000  6 O 2.37
Ca 0.5000 0.0000 0.0000  6 O 2.37
Mn 0.0000 0.5000 0.5000  6 O 2.30
Mn 0.5000 0.0000 0.5000  6 O 2.30
Mn 0.5000 0.5000 0.0000  6 O 2.30
Mn 0.5000 0.5000 0.5000  6 O 2.30
O 0.2540 0.2540 0.2540  3 Mn 2.30, 3 Ca 2.37
O 0.2540 0.2540 0.7380  3 Mn 2.30, 3 Ca 2.37
O 0.2540 0.7380 0.2540  3 Mn 2.30, 3 Ca 2.37
O 0.2620 0.7460 0.7460  3 Mn 2.30, 3 Ca 2.37
O 0.7380 0.2540 0.2540  3 Mn 2.30, 3 Ca 2.37
O 0.7460 0.2620 0.7460  3 Mn 2.30, 3 Ca 2.37
O 0.7460 0.7460 0.2620  3 Mn 2.30, 3 Ca 2.37
O 0.7460 0.7460 0.7460  3 Mn 2.30, 3 Ca 2.37

Magnetic moment ... 1.25 μB per atom
Total DFT energy (no corrections) ... -7.123 eV per atom
E_form ... -2.62 eV per atom

[5]
DFT (PBE+U) results for a geometry-optimized CaGe2WO6 structure.

a b c (Å): 8.3477 8.3477 5.3749
angles (deg): 98.12 98.12 62.65
Closest atoms and distances in Å follow each position.
Element x y z (fractional)
Ca 0.1528 0.8472 0.7500  8 O 2.41-2.63
Ca 0.8472 0.1528 0.2500  8 O 2.41-2.63
Ge 0.0786 0.2883 0.7854  3 O 1.91-1.99
Ge 0.2883 0.0786 0.2854  3 O 1.91-1.99
Ge 0.7117 0.9214 0.7146  3 O 1.91-1.99
Ge 0.9214 0.7117 0.2146  3 O 1.91-1.99
W 0.4085 0.5915 0.2500  6 O 1.87-2.04
W 0.5915 0.4085 0.7500  6 O 1.87-2.04
O 0.0853 0.1374 0.0263  2 Ge 1.91-1.95
O 0.1374 0.0853 0.5263  2 Ge 1.91-1.95
O 0.1783 0.6466 0.3338  1 W 1.87, 1 Ge 1.99
O 0.3478 0.5194 0.8980  2 W 1.97-2.04
O 0.3534 0.8217 0.1662  1 W 1.87, 1 Ge 1.99
O 0.4806 0.6522 0.6020  2 W 1.97-2.04
O 0.5194 0.3478 0.3980  2 W 1.97-2.04
O 0.6466 0.1783 0.8338  1 W 1.87, 1 Ge 1.99
O 0.6522 0.4806 0.1020  2 W 1.97-2.04
O 0.8217 0.3534 0.6662  1 W 1.87, 1 Ge 1.99
O 0.8626 0.9147 0.4737  2 Ge 1.91-1.95
O 0.9147 0.8626 0.9737  2 Ge 1.91-1.95

Magnetic moment ... 0.00 μB per atom
ΔE to the lowest computed polymorph ... 6 meV/atom
Total DFT energy (no corrections) ... -6.756 eV per atom
E_form ... -2.22 eV per atom